The following is a PBE+U calculation of an optimized crystal structure of BeCrO4, from the Materials Project database.

Summary:
crystal system	monoclinic
energy above the most stable polymorph in this dataset	0	meV per atom
E (MP2020)	-7.5911	eV per atom
raw total energy	-6.80	eV per atom

Cell: 8.3287 4.9110 8.5683 Å, 63.34 90.00 90.00°
With the nearest neighbours (Å) after each atom.
Atoms (fractional coordinates):
Be 0.8962 0.9045 0.7529  4 O 1.62-1.65
Be 0.3962 0.0955 0.7471  4 O 1.62-1.65
Be 0.6038 0.9045 0.2529  4 O 1.62-1.65
Be 0.1038 0.0955 0.2471  4 O 1.62-1.65
Cr 0.6985 0.2972 0.8557  4 O 1.66-1.67
Cr 0.1985 0.7028 0.6443  4 O 1.66-1.67
Cr 0.8015 0.2972 0.3557  4 O 1.66-1.67
Cr 0.3015 0.7028 0.1443  4 O 1.66-1.67
O 0.3904 0.8290 0.9509  1 Be 1.65, 1 Cr 1.66
O 0.8582 0.0841 0.8709  1 Be 1.64, 1 Cr 1.66
O 0.0693 0.7311 0.7859  1 Be 1.63, 1 Cr 1.67
O 0.7540 0.6581 0.7869  1 Be 1.62, 1 Cr 1.66
O 0.2540 0.3419 0.7131  1 Be 1.62, 1 Cr 1.66
O 0.5693 0.2689 0.7141  1 Be 1.63, 1 Cr 1.67
O 0.3582 0.9159 0.6291  1 Be 1.64, 1 Cr 1.66
O 0.1096 0.8290 0.4509  1 Be 1.65, 1 Cr 1.66
O 0.8904 0.1710 0.5491  1 Be 1.65, 1 Cr 1.66
O 0.6418 0.0841 0.3709  1 Be 1.64, 1 Cr 1.66
O 0.4307 0.7311 0.2859  1 Be 1.63, 1 Cr 1.67
O 0.7460 0.6581 0.2869  1 Be 1.62, 1 Cr 1.66
O 0.2460 0.3419 0.2131  1 Be 1.62, 1 Cr 1.66
O 0.9307 0.2689 0.2141  1 Be 1.63, 1 Cr 1.67
O 0.1418 0.9159 0.1291  1 Be 1.64, 1 Cr 1.66
O 0.6096 0.1710 0.0491  1 Be 1.65, 1 Cr 1.66